This record from the Materials Project database describes a relaxed MnH6S4O18 crystal. The functional is PBE with a Hubbard U. Values from VASP.

Cell and atoms, written as Quantum ESPRESSO input:
```
&SYSTEM
  ibrav = 0, nat = 116, ntyp = 4
/
ATOMIC_SPECIES
O 16.00 O.upf
H 1.01 H.upf
Mn 54.94 Mn.upf
S 32.06 S.upf
CELL_PARAMETERS angstrom
-6.027 0.107 4.303
2.704 -9.008 4.011
10.752 9.824 14.814
ATOMIC_POSITIONS crystal
O 0.907 0.185 0.424
O 0.647 0.111 0.366
H 0.097 0.060 0.568
Mn 0.250 0.156 0.250
O 0.016 0.847 0.746
H 0.403 0.560 0.568
O 0.016 0.347 0.754
Mn 0.750 0.344 0.750
H 0.903 0.440 0.068
O 0.383 0.838 0.522
O 0.883 0.662 0.478
O 0.611 0.092 0.904
O 0.117 0.338 0.522
O 0.147 0.389 0.634
O 0.111 0.908 0.404
Mn 0.250 0.656 0.250
O 0.780 0.467 0.052
O 0.536 0.918 0.202
O 0.611 0.592 0.596
O 0.263 0.285 0.318
O 0.907 0.685 0.076
S 0.263 0.889 0.571
H 0.903 0.940 0.432
O 0.242 0.023 0.182
O 0.984 0.153 0.254
O 0.984 0.653 0.246
H 0.568 0.655 0.210
O 0.617 0.662 0.022
O 0.389 0.908 0.096
S 0.263 0.389 0.929
O 0.407 0.315 0.576
S 0.367 0.908 0.165
O 0.720 0.467 0.448
O 0.407 0.815 0.924
O 0.593 0.685 0.424
O 0.889 0.592 0.904
O 0.353 0.389 0.866
O 0.889 0.092 0.596
S 0.633 0.092 0.835
O 0.111 0.408 0.096
H 0.048 0.936 0.727
H 0.432 0.845 0.710
O 0.220 0.533 0.948
H 0.548 0.064 0.227
S 0.763 0.611 0.429
O 0.242 0.523 0.318
O 0.742 0.977 0.682
O 0.853 0.611 0.366
O 0.036 0.582 0.798
H 0.568 0.155 0.290
O 0.464 0.582 0.702
H 0.452 0.936 0.773
O 0.536 0.418 0.298
S 0.737 0.611 0.071
O 0.964 0.918 0.298
H 0.952 0.564 0.227
S 0.133 0.408 0.165
S 0.133 0.908 0.335
O 0.389 0.408 0.404
O 0.280 0.533 0.552
H 0.548 0.564 0.273
H 0.932 0.655 0.290
O 0.780 0.967 0.448
H 0.068 0.345 0.710
H 0.452 0.436 0.727
O 0.516 0.153 0.246
O 0.516 0.653 0.254
O 0.484 0.847 0.754
O 0.036 0.082 0.702
S 0.237 0.389 0.571
O 0.763 0.215 0.682
O 0.117 0.838 0.978
H 0.403 0.060 0.932
O 0.220 0.033 0.552
S 0.867 0.592 0.835
H 0.097 0.560 0.932
S 0.867 0.092 0.665
O 0.737 0.215 0.818
O 0.883 0.162 0.022
S 0.737 0.111 0.429
O 0.617 0.162 0.478
O 0.758 0.977 0.818
O 0.093 0.315 0.924
O 0.280 0.033 0.948
H 0.932 0.155 0.210
O 0.484 0.347 0.746
H 0.048 0.436 0.773
Mn 0.750 0.844 0.750
O 0.593 0.185 0.076
O 0.258 0.023 0.318
O 0.964 0.418 0.202
O 0.147 0.889 0.866
O 0.383 0.338 0.978
O 0.464 0.082 0.798
O 0.720 0.967 0.052
S 0.367 0.408 0.335
O 0.237 0.285 0.182
H 0.952 0.064 0.273
S 0.633 0.592 0.665
O 0.263 0.785 0.182
O 0.237 0.785 0.318
O 0.093 0.815 0.576
S 0.763 0.111 0.071
H 0.432 0.345 0.790
O 0.742 0.477 0.818
O 0.258 0.523 0.182
O 0.737 0.715 0.682
H 0.068 0.845 0.790
O 0.647 0.611 0.134
O 0.763 0.715 0.818
S 0.237 0.889 0.929
H 0.597 0.940 0.068
O 0.353 0.889 0.634
O 0.758 0.477 0.682
O 0.853 0.111 0.134
H 0.597 0.440 0.432
```

Results
**V**: 1573.1 Å³ per cell
**SG**: Pccn, No. 56
**Raw total energy**: -5.654 eV/atom
**Formation energy from the elements**: -1.4780 eV per atom